A relaxed structure of Tm2IrPd. Source: Materials Project, functional r²SCAN.

Values from the calculation:
**E_form**: -1.0665 eV/atom
**Energy**: -37.46 eV per atom
**Crystal system**: cubic
**Size of the total moment**: 0.0 μB/f.u.
**ρ**: 13.55 Mg/m³

Geometry as CIF:
```
data_Tm2IrPd
_cell_length_a 4.796
_cell_length_b 4.796
_cell_length_c 4.796
_cell_angle_alpha 60.00
_cell_angle_beta 60.00
_cell_angle_gamma 60.00
_symmetry_space_group_name_H-M 'P 1'
_symmetry_Int_Tables_number 1
loop_
_symmetry_equiv_pos_as_xyz
'x,y,z'
loop_
_atom_site_label
_atom_site_type_symbol
_atom_site_fract_x
_atom_site_fract_y
_atom_site_fract_z
_atom_site_occupancy
Tm1 Tm 0.000 0.000 0.000 1
Tm2 Tm 0.500 0.500 0.500 1
Ir1 Ir 0.250 0.250 0.250 1
Pd1 Pd 0.750 0.750 0.750 1
```